! MnTlO3 PBE with a Hubbard U relaxed; values from VASP
&SYSTEM
  ibrav = 0, nat = 10, ntyp = 3
/
ATOMIC_SPECIES
Mn 54.94 Mn.upf
O 16.00 O.upf
Tl 204.38 Tl.upf
CELL_PARAMETERS angstrom
-0.5121 2.6371 -5.8783
-1.6412 -2.4725 -5.7415
-5.0698 1.0165 -3.8776
ATOMIC_POSITIONS crystal
Mn 0.6647 0.6647 0.6647
Mn 0.3353 0.3353 0.3353
O 0.5494 0.9405 0.3224
O 0.6776 0.4506 0.0595
O 0.4506 0.0595 0.6776
O 0.3224 0.5494 0.9405
O 0.9405 0.3224 0.5494
O 0.0595 0.6776 0.4506
Tl 0.8748 0.8748 0.8748
Tl 0.1252 0.1252 0.1252
! Formation energy from the elements ... -1.437 eV/atom
! Symmetry ... R-3, No. 148
! Theoretical density ... 7.528 g/cm³



! MnTlO3 PBE with a Hubbard U relaxed; values from VASP
&SYSTEM
  ibrav = 0, nat = 30, ntyp = 3
/
ATOMIC_SPECIES
O 16.00 O.upf
Tl 204.38 Tl.upf
Mn 54.94 Mn.upf
CELL_PARAMETERS angstrom
3.0659 -5.3103 0.0000
3.0659 5.3103 0.0000
0.0000 0.0000 12.0134
ATOMIC_POSITIONS crystal
O 0.0000 0.3507 0.8321
O 0.6493 0.0000 0.3321
O 0.0000 0.0000 0.9776
O 0.6831 0.0000 0.6552
O 0.6667 0.3333 0.5023
O 0.0000 0.3169 0.1552
O 0.3333 0.6667 0.5023
O 0.0000 0.6493 0.3321
O 0.6493 0.6493 0.8321
O 0.3333 0.6667 0.0023
O 0.0000 0.6831 0.6552
O 0.3507 0.3507 0.3321
O 0.3507 0.0000 0.8321
O 0.3169 0.0000 0.1552
O 0.6667 0.3333 0.0023
O 0.3169 0.3169 0.6552
O 0.6831 0.6831 0.1552
O 0.0000 0.0000 0.4776
Tl 0.6667 0.3333 0.2332
Tl 0.0000 0.0000 0.7639
Tl 0.0000 0.0000 0.2639
Tl 0.3333 0.6667 0.7332
Tl 0.6667 0.3333 0.7332
Tl 0.3333 0.6667 0.2332
Mn 0.6651 0.0000 0.4936
Mn 0.0000 0.3349 0.9936
Mn 0.3349 0.3349 0.4936
Mn 0.0000 0.6651 0.4936
Mn 0.3349 0.0000 0.9936
Mn 0.6651 0.6651 0.9936
! Formation energy from the elements ... -1.528 eV/atom
! Symmetry ... P6_3cm, No. 185
! Theoretical density ... 7.827 g/cm³



! MnTlO3 PBE with a Hubbard U relaxed; values from VASP
&SYSTEM
  ibrav = 0, nat = 20, ntyp = 3
/
ATOMIC_SPECIES
O 16.00 O.upf
Mn 54.94 Mn.upf
Tl 204.38 Tl.upf
CELL_PARAMETERS angstrom
0.0692 0.0716 5.6400
5.5503 0.0983 0.0689
0.1347 7.8343 0.1045
ATOMIC_POSITIONS crystal
O 0.3128 0.3020 0.9589
O 0.1745 0.7888 0.9565
O 0.1791 0.1989 0.5610
O 0.8209 0.8009 0.4390
O 0.6872 0.6979 0.0410
O 0.3271 0.7072 0.5572
O 0.6019 0.0316 0.7533
O 0.8905 0.5354 0.7347
O 0.1094 0.4645 0.2652
O 0.6729 0.2931 0.4429
O 0.3981 0.9686 0.2470
O 0.8256 0.2110 0.0433
Mn 0.5002 0.0002 0.0002
Mn 0.5001 0.0001 0.5002
Mn 0.9998 0.4998 0.4999
Mn 0.0002 0.4998 0.9997
Tl 0.0083 0.0297 0.2524
Tl 0.9917 0.9700 0.7475
Tl 0.5061 0.4744 0.7471
Tl 0.4937 0.5259 0.2529
! Formation energy from the elements ... -1.495 eV/atom
! Symmetry ... P-1, No. 2
! Theoretical density ... 8.329 g/cm³



! MnTlO3 PBE with a Hubbard U relaxed; values from VASP
&SYSTEM
  ibrav = 0, nat = 20, ntyp = 3
/
ATOMIC_SPECIES
Tl 204.38 Tl.upf
O 16.00 O.upf
Mn 54.94 Mn.upf
CELL_PARAMETERS angstrom
5.5669 0.0375 0.0001
0.0453 7.9335 -0.0009
0.0001 -0.0006 5.4891
ATOMIC_POSITIONS crystal
Tl 0.4691 0.7468 0.4986
Tl 0.5310 0.2533 0.5014
Tl 0.0310 0.2533 0.9987
Tl 0.9691 0.7467 0.0013
O 0.8027 0.4387 0.8089
O 0.6977 0.0436 0.6973
O 0.3023 0.9563 0.3030
O 0.4655 0.2657 0.1063
O 0.5345 0.7343 0.8937
O 0.3028 0.4386 0.6916
O 0.1974 0.5614 0.1909
O 0.9654 0.2657 0.3939
O 0.8023 0.9563 0.1973
O 0.6971 0.5615 0.3083
O 0.1977 0.0436 0.8029
O 0.0346 0.7344 0.6061
Mn 0.0000 0.5001 0.4996
Mn 0.9998 0.9999 0.5002
Mn 0.5001 0.9998 0.0003
Mn 0.5001 0.5000 0.9996
! Formation energy from the elements ... -1.497 eV/atom
! Symmetry ... P2_1/c, No. 14
! Theoretical density ... 8.420 g/cm³



! TmMn2O5 PBE with a Hubbard U relaxed; values from VASP
&SYSTEM
  ibrav = 0, nat = 32, ntyp = 3
/
ATOMIC_SPECIES
O 16.00 O.upf
Mn 54.94 Mn.upf
Tm 168.93 Tm.upf
CELL_PARAMETERS angstrom
-4.5684 -2.1545 2.7599
3.7969 -5.9917 1.6074
2.6669 3.6356 7.2526
ATOMIC_POSITIONS crystal
O 0.0000 0.6528 0.9315
O 0.5000 0.6662 0.9423
O 0.0000 0.8472 0.4315
O 0.7378 0.8938 0.7070
O 0.0000 0.1528 0.5685
O 0.2342 0.0000 0.0000
O 0.0000 0.3472 0.0685
O 0.5000 0.1662 0.5577
O 0.7658 0.5000 0.5000
O 0.2622 0.8938 0.7070
O 0.2622 0.3938 0.7930
O 0.7378 0.3938 0.7930
O 0.7378 0.1062 0.2930
O 0.2622 0.6062 0.2070
O 0.7378 0.6062 0.2070
O 0.2342 0.5000 0.5000
O 0.5000 0.3338 0.0577
O 0.5000 0.8338 0.4423
O 0.2622 0.1062 0.2930
O 0.7658 0.0000 0.0000
Mn 0.7525 0.0000 0.5000
Mn 0.0000 0.5866 0.3481
Mn 0.0000 0.0866 0.1519
Mn 0.0000 0.4134 0.6519
Mn 0.7525 0.5000 0.0000
Mn 0.0000 0.9134 0.8481
Mn 0.2475 0.0000 0.5000
Mn 0.2475 0.5000 0.0000
Tm 0.5000 0.3618 0.3293
Tm 0.5000 0.1382 0.8293
Tm 0.5000 0.8618 0.1707
Tm 0.5000 0.6382 0.6707
! Formation energy from the elements ... -2.661 eV/atom
! Symmetry ... Pbam, No. 55
! Theoretical density ... 6.666 g/cm³



! Tm2Mn2O7 PBE with a Hubbard U relaxed; values from VASP
&SYSTEM
  ibrav = 0, nat = 22, ntyp = 3
/
ATOMIC_SPECIES
O 16.00 O.upf
Mn 54.94 Mn.upf
Tm 168.93 Tm.upf
CELL_PARAMETERS angstrom
5.7617 -4.0216 -0.1247
-0.4186 -6.6726 -2.1651
2.8375 -1.8841 -6.1469
ATOMIC_POSITIONS crystal
O 0.5431 0.5431 0.9569
O 0.7069 0.7069 0.2931
O 0.0000 0.0000 0.0000
O 0.7069 0.2931 0.7069
O 0.7069 0.2931 0.2931
O 0.5431 0.9569 0.9569
O 0.2931 0.7069 0.2931
O 0.2931 0.7069 0.7069
O 0.9569 0.5431 0.5431
O 0.5431 0.9569 0.5431
O 0.2500 0.2500 0.2500
O 0.2931 0.2931 0.7069
O 0.9569 0.9569 0.5431
O 0.9569 0.5431 0.9569
Mn 0.6250 0.6250 0.1250
Mn 0.6250 0.6250 0.6250
Mn 0.6250 0.1250 0.6250
Mn 0.1250 0.6250 0.6250
Tm 0.1250 0.6250 0.1250
Tm 0.6250 0.1250 0.1250
Tm 0.1250 0.1250 0.1250
Tm 0.1250 0.1250 0.6250
! Formation energy from the elements ... -2.930 eV/atom
! Symmetry ... Fd-3m, No. 227
! Theoretical density ... 7.575 g/cm³



! Mn2V2O7 PBE with a Hubbard U relaxed; values from VASP
&SYSTEM
  ibrav = 0, nat = 44, ntyp = 3
/
ATOMIC_SPECIES
O 16.00 O.upf
Mn 54.94 Mn.upf
V 50.94 V.upf
CELL_PARAMETERS angstrom
7.0073 0.0000 0.0000
0.8923 8.0610 0.0000
3.5022 0.2053 10.4798
ATOMIC_POSITIONS crystal
O 0.8195 0.1108 0.5330
O 0.1206 0.3309 0.9292
O 0.0266 0.7145 0.2757
O 0.3958 0.1809 0.0427
O 0.4477 0.6762 0.7863
O 0.5459 0.3566 0.7073
O 0.6976 0.4057 0.4404
O 0.9734 0.2855 0.7243
O 0.3998 0.1830 0.5448
O 0.9985 0.6120 0.7938
O 0.1222 0.3060 0.4226
O 0.6002 0.8170 0.4552
O 0.3024 0.5943 0.5596
O 0.6042 0.8191 0.9573
O 0.5118 0.0166 0.7528
O 0.1805 0.8892 0.4670
O 0.4882 0.9834 0.2472
O 0.0543 0.9067 0.7151
O 0.1881 0.9143 0.9636
O 0.8119 0.0857 0.0364
O 0.4541 0.6434 0.2927
O 0.5523 0.3238 0.2137
O 0.8794 0.6691 0.0708
O 0.9457 0.0933 0.2849
O 0.8778 0.6940 0.5774
O 0.0015 0.3880 0.2062
O 0.3070 0.5790 0.0543
O 0.6930 0.4210 0.9457
Mn 0.4160 0.4048 0.9038
Mn 0.1013 0.1153 0.5846
Mn 0.5840 0.5952 0.0962
Mn 0.5959 0.5941 0.5941
Mn 0.0815 0.1395 0.0784
Mn 0.4041 0.4059 0.4059
Mn 0.9185 0.8605 0.9216
Mn 0.8987 0.8847 0.4154
V 0.4320 0.8284 0.3689
V 0.5680 0.1716 0.6311
V 0.0753 0.7176 0.6356
V 0.9465 0.4039 0.8498
V 0.5649 0.1489 0.1294
V 0.9247 0.2824 0.3644
V 0.4351 0.8511 0.8706
V 0.0535 0.5961 0.1502
! Relative energy among the computed polymorphs ... 0.4 kJ/mol of atoms
! Formation energy from the elements ... -2.316 eV/atom
! Symmetry ... P-1, No. 2
! Theoretical density ... 3.633 g/cm³



! Mn4V4O13 PBE with a Hubbard U relaxed; values from VASP
&SYSTEM
  ibrav = 0, nat = 84, ntyp = 3
/
ATOMIC_SPECIES
O 16.00 O.upf
V 50.94 V.upf
Mn 54.94 Mn.upf
CELL_PARAMETERS angstrom
-5.8113 -3.2997 -2.1836
-0.1221 -2.8901 7.3077
-8.4929 18.2113 6.1509
ATOMIC_POSITIONS crystal
O 0.4744 0.8166 0.7782
O 0.1101 0.6169 0.3954
O 0.4339 0.7877 0.2158
O 0.4712 0.2437 0.6365
O 0.6762 0.0993 0.5234
O 0.1557 0.5576 0.9741
O 0.1866 0.5831 0.5355
O 0.9810 0.7195 0.6441
O 0.3987 0.8758 0.6160
O 0.7899 0.9868 0.2679
O 0.4033 0.3227 0.4629
O 0.9571 0.2685 0.2297
O 0.7252 0.5630 0.2820
O 0.0429 0.7315 0.7703
O 0.2239 0.4944 0.1383
O 0.2101 0.0132 0.7321
O 0.0276 0.6928 0.2175
O 0.2705 0.0188 0.8586
O 0.6013 0.1242 0.3840
O 0.0190 0.2805 0.3559
O 0.9606 0.0528 0.6261
O 0.9412 0.8375 0.0346
O 0.9724 0.3072 0.7825
O 0.7811 0.9319 0.7223
O 0.9087 0.8059 0.4785
O 0.8134 0.4169 0.4645
O 0.3173 0.4654 0.2845
O 0.6525 0.0650 0.9674
O 0.6422 0.6447 0.1070
O 0.3070 0.6858 0.8741
O 0.2748 0.4370 0.7180
O 0.6827 0.5346 0.7155
O 0.6930 0.3142 0.1259
O 0.0913 0.1941 0.5215
O 0.5288 0.7563 0.3635
O 0.5661 0.2123 0.7842
O 0.5967 0.6773 0.5371
O 0.1488 0.1325 0.1115
O 0.5798 0.6453 0.9780
O 0.8443 0.4424 0.0259
O 0.3238 0.9007 0.4766
O 0.7295 0.9812 0.1414
O 0.5256 0.1834 0.2218
O 0.3475 0.9350 0.0326
O 0.4202 0.3547 0.0220
O 0.2189 0.0681 0.2777
O 0.0588 0.1625 0.9654
O 0.3578 0.3553 0.8930
O 0.0394 0.9472 0.3739
O 0.7761 0.5056 0.8617
O 0.8899 0.3831 0.6046
O 0.8512 0.8675 0.8885
V 0.2705 0.8320 0.8129
V 0.0143 0.0917 0.3106
V 0.0988 0.8106 0.4351
V 0.7295 0.1680 0.1871
V 0.9857 0.9083 0.6894
V 0.7851 0.3060 0.8261
V 0.5373 0.5596 0.3255
V 0.4627 0.4404 0.6745
V 0.1597 0.9331 0.0760
V 0.6453 0.4543 0.0635
V 0.3547 0.5457 0.9365
V 0.8403 0.0669 0.9240
V 0.4046 0.6804 0.5777
V 0.2149 0.6940 0.1739
V 0.5954 0.3196 0.4223
V 0.9012 0.1894 0.5649
Mn 0.8736 0.6402 0.9541
Mn 0.6167 0.8775 0.4572
Mn 0.3596 0.1285 0.9541
Mn 0.8850 0.6104 0.5481
Mn 0.1150 0.3896 0.4519
Mn 0.2470 0.2680 0.2035
Mn 0.0194 0.5044 0.2969
Mn 0.7530 0.7320 0.7965
Mn 0.4990 0.0144 0.7045
Mn 0.5010 0.9856 0.2955
Mn 0.9806 0.4956 0.7031
Mn 0.3833 0.1225 0.5428
Mn 0.2665 0.2460 0.7974
Mn 0.6404 0.8715 0.0459
Mn 0.7335 0.7540 0.2026
Mn 0.1264 0.3598 0.0459
! Formation energy from the elements ... -2.197 eV/atom
! Symmetry ... P-1, No. 2
! Theoretical density ... 3.688 g/cm³